(1)
meta-GGA r2SCAN NdScSb, relaxed; formation enthalpy at 0 K = -1.00 eV per atom; space-group type = I4/mmm
1.0
4.482 0.000 0.000
0.000 4.482 0.000
0.000 0.000 16.515
Nd Sc Sb
4 4 4
Cartesian
0.000 0.000 2.902 Nd
0.000 0.000 13.613 Nd
2.241 2.241 5.355 Nd
2.241 2.241 11.160 Nd
0.000 2.241 0.000 Sc
0.000 2.241 8.257 Sc
2.241 0.000 0.000 Sc
2.241 0.000 8.257 Sc
0.000 0.000 6.177 Sb
0.000 0.000 10.338 Sb
2.241 2.241 2.081 Sb
2.241 2.241 14.434 Sb

(2)
meta-GGA r2SCAN NdAlAu, relaxed; formation enthalpy at 0 K = -0.82 eV per atom; space-group type = Pnma
1.0
7.489 0.000 0.000
0.000 4.563 0.000
0.000 0.000 7.782
Nd Al Au
4 4 4
Cartesian
0.074 1.141 1.515 Nd
3.670 3.423 5.406 Nd
3.819 1.141 2.376 Nd
7.414 3.423 6.267 Nd
1.287 1.141 4.512 Al
2.458 3.423 0.621 Al
5.031 1.141 7.161 Al
6.202 3.423 3.270 Al
1.517 3.423 3.167 Au
2.227 1.141 7.058 Au
5.262 3.423 0.724 Au
5.971 1.141 4.615 Au

(3)
meta-GGA r2SCAN KSn, relaxed; formation enthalpy at 0 K = -0.37 eV per atom; space-group type = I4_1/acd
1.0
-5.723 5.723 9.380
5.723 -5.723 9.380
5.723 5.723 -9.380
K Sn
16 16
Cartesian
4.320 1.459 -2.345 K
8.584 1.293 0.000 K
7.126 4.264 -2.345 K
4.154 5.723 -4.690 K
4.154 0.000 4.690 K
1.403 1.459 2.345 K
2.861 4.430 0.000 K
-1.403 4.264 2.345 K
7.126 1.459 7.035 K
2.861 1.293 9.380 K
4.320 4.264 7.035 K
1.569 5.723 4.690 K
1.569 0.000 14.070 K
-1.403 1.459 11.725 K
-2.861 4.430 9.380 K
1.403 4.264 11.725 K
4.436 -3.601 5.988 Sn
6.462 -4.149 8.082 Sn
7.010 -2.122 5.988 Sn
4.984 1.574 1.298 Sn
4.984 -1.574 8.082 Sn
7.010 2.122 3.392 Sn
6.462 4.149 1.298 Sn
4.436 3.601 3.392 Sn
1.287 2.122 5.988 Sn
-0.739 1.574 8.082 Sn
-1.287 3.601 5.988 Sn
0.739 7.297 1.298 Sn
0.739 4.149 8.082 Sn
-1.287 7.845 3.392 Sn
-0.739 9.872 1.298 Sn
1.287 9.324 3.392 Sn

(4)
meta-GGA r2SCAN GdCrO3, relaxed; formation enthalpy at 0 K = -3.15 eV per atom; space-group type = Pnma
1.0
5.546 0.000 0.000
0.000 7.616 0.000
0.000 0.000 5.317
Gd Cr O
4 4 12
Cartesian
0.339 1.904 0.081 Gd
2.434 5.712 2.740 Gd
3.112 1.904 2.577 Gd
5.207 5.712 5.236 Gd
0.000 0.000 2.659 Cr
0.000 3.808 2.659 Cr
2.773 0.000 0.000 Cr
2.773 3.808 0.000 Cr
0.168 5.712 2.136 O
1.115 4.195 4.266 O
1.115 7.230 4.266 O
1.658 0.387 1.607 O
1.658 3.421 1.607 O
2.605 1.904 4.795 O
2.941 5.712 0.522 O
3.888 4.195 3.710 O
3.888 7.230 3.710 O
4.431 0.387 1.051 O
4.431 3.421 1.051 O
5.378 1.904 3.181 O

(5)
meta-GGA r2SCAN AlPS4, relaxed; formation enthalpy at 0 K = -0.69 eV per atom; space-group type = I222
1.0
5.664 0.000 0.000
0.000 5.913 0.000
0.000 0.000 9.306
Al P S
2 2 8
Cartesian
0.000 0.000 0.000 Al
2.832 2.956 4.653 Al
0.000 2.956 4.653 P
2.832 0.000 0.000 P
1.263 1.799 3.523 S
1.263 4.114 5.783 S
1.569 1.157 8.176 S
1.569 4.756 1.130 S
4.095 1.157 1.130 S
4.095 4.756 8.176 S
4.401 1.799 5.783 S
4.401 4.114 3.523 S

(6)
meta-GGA r2SCAN USe2, relaxed; formation enthalpy at 0 K = -1.56 eV per atom; space-group type = P1
1.0
6.636 0.000 0.000
-0.001 10.775 0.000
-0.001 -0.001 10.776
U Se
10 20
Cartesian
0.000 0.000 0.000 U
0.004 1.995 5.304 U
0.024 5.467 2.046 U
0.660 3.729 9.058 U
2.645 9.114 3.671 U
3.283 5.360 5.412 U
3.288 2.105 1.939 U
3.295 0.056 7.409 U
3.313 7.407 10.716 U
6.629 7.467 7.353 U
0.943 6.873 4.641 Se
0.940 10.056 5.898 Se
0.948 0.586 2.711 Se
0.947 8.180 1.446 Se
1.650 3.728 3.676 Se
1.650 9.116 9.064 Se
2.356 2.764 6.815 Se
2.361 1.504 10.002 Se
2.362 4.697 0.530 Se
2.359 5.957 8.125 Se
4.169 8.121 5.943 Se
4.176 0.595 4.657 Se
4.174 6.863 2.690 Se
4.173 10.118 1.405 Se
4.969 3.734 3.674 Se
4.969 9.122 9.061 Se
5.768 1.461 8.064 Se
5.763 4.716 6.810 Se
5.772 2.749 0.545 Se
5.769 6.000 10.059 Se

(7)
meta-GGA r2SCAN Na7Al3O8, relaxed; formation enthalpy at 0 K = -2.41 eV per atom; space-group type = P-1
1.0
5.823 0.000 0.000
2.579 7.481 0.000
0.053 4.164 10.454
Na Al O
14 6 16
Cartesian
0.715 2.511 2.389 Na
0.826 4.521 7.728 Na
2.244 4.642 0.583 Na
2.487 6.768 5.748 Na
1.358 0.349 0.540 Na
4.002 9.725 5.816 Na
3.128 6.466 8.696 Na
5.327 5.179 1.758 Na
4.453 1.921 4.639 Na
7.096 11.296 9.914 Na
5.968 4.877 4.706 Na
6.210 7.003 9.872 Na
7.628 7.125 2.726 Na
7.739 9.134 8.066 Na
3.006 4.448 3.567 Al
4.602 7.503 3.805 Al
4.832 9.726 8.939 Al
3.623 1.920 1.515 Al
3.852 4.142 6.650 Al
5.448 7.197 6.887 Al
1.478 4.789 2.807 O
3.170 8.431 4.132 O
3.315 10.316 9.596 O
2.403 2.404 0.367 O
2.707 4.092 5.285 O
4.067 5.852 3.525 O
4.496 8.441 7.731 O
2.971 3.659 8.090 O
5.483 7.987 2.364 O
3.959 3.205 2.723 O
4.387 5.793 6.929 O
5.748 7.554 5.170 O
6.052 9.241 10.088 O
5.139 1.330 0.858 O
5.284 3.214 6.323 O
6.977 6.857 7.648 O

(8)
meta-GGA r2SCAN DyInCu2, relaxed; formation enthalpy at 0 K = -0.38 eV per atom; space-group type = Fm-3m
1.0
6.574 0.000 0.000
0.000 6.574 0.000
0.000 0.000 6.574
Dy In Cu
4 4 8
Cartesian
0.000 0.000 0.000 Dy
0.000 3.287 3.287 Dy
3.287 0.000 3.287 Dy
3.287 3.287 0.000 Dy
0.000 0.000 3.287 In
0.000 3.287 0.000 In
3.287 0.000 0.000 In
3.287 3.287 3.287 In
1.643 1.643 1.643 Cu
1.643 1.643 4.930 Cu
1.643 4.930 1.643 Cu
1.643 4.930 4.930 Cu
4.930 1.643 1.643 Cu
4.930 1.643 4.930 Cu
4.930 4.930 1.643 Cu
4.930 4.930 4.930 Cu

> Look up the formation enthalpy at 0 K of the fifth one.

-0.69 eV per atom